Computed, not measured: a geometry-optimized LiZn2Ir structure at the r2SCAN level of DFT.

Lattice parameters (Å, degrees): 5.983 5.983 5.983 90.00 90.00 90.00
Space group Fm-3m (No. 225)
Inequivalent atoms, fractional coordinates:
Li 0.000 0.000 0.000 (multiplicity 4)
Zn 0.250 0.250 0.250 (multiplicity 8)
Ir 0.000 0.000 0.500 (multiplicity 4)

* final energy: -18.53 eV per atom
* formation enthalpy at 0 K: -0.3838 eV/atom

***

Computed, not measured: a geometry-optimized LuIr structure at the r2SCAN level of DFT.

Lattice parameters (Å, degrees): 3.328 3.328 3.328 90.00 90.00 90.00
Space group Pm-3m (No. 221)
Inequivalent atoms, fractional coordinates:
Lu 0.000 0.000 0.000 (multiplicity 1)
Ir 0.500 0.500 0.500 (multiplicity 1)

* final energy: -46.38 eV per atom
* formation enthalpy at 0 K: -1.1576 eV/atom